# 1
YbAlCu4: optimized geometry, r²SCAN.

Summary:
space-group type: P-6m2
energy relative to the elements: -0.27 eV/atom
uncorrected energy: -14.7082 eV per atom

Cell: 5.064 5.064 4.000 Å, 90.00 90.00 120.00°
Sites, in units of the cell vectors:
Cu 0.501 0.499 0.500
Cu 0.667 0.333 0.000
Cu 0.999 0.499 0.500
Yb 0.000 0.000 0.000
Al 0.333 0.667 0.000
Cu 0.501 0.001 0.500

# 2
YbAlCu: optimized geometry, r²SCAN.

Summary:
space-group type: P-62m
energy relative to the elements: -0.53 eV/atom
uncorrected energy: -18.5623 eV per atom

Cell: 6.881 6.881 3.954 Å, 90.00 90.00 120.00°
Sites, in units of the cell vectors:
Al 0.236 0.236 0.000
Yb 0.415 0.000 0.500
Yb 0.000 0.415 0.500
Al 0.764 0.000 0.000
Al 0.000 0.764 0.000
Cu 0.333 0.667 0.000
Cu 0.000 0.000 0.500
Yb 0.585 0.585 0.500
Cu 0.667 0.333 0.000

# 3
DyAl3: optimized geometry, r²SCAN.

Summary:
space-group type: Pm-3m
energy relative to the elements: -0.46 eV/atom
uncorrected energy: -13.5010 eV per atom

Cell: 4.229 4.229 4.229 Å, 90.00 90.00 90.00°
Sites, in units of the cell vectors:
Al 0.500 0.500 0.000
Al 0.500 0.000 0.500
Al 0.000 0.500 0.500
Dy 0.000 0.000 0.000